(1)
Here is a relaxed structure of Pr6GaFe13 from Materials Project. Energies are from PBE.

Lattice parameters (Å, degrees): 8.0621 8.0621 23.4563 90.00 90.00 90.00
Space group I4/mcm (No. 140)
One atom of each set of equivalent atoms:
Pr: 0.0000 0.0000 0.1068 x8
Pr: 0.1664 0.3336 0.1872 x16
Ga: 0.0000 0.0000 0.2500 x4
Fe: 0.0000 0.5000 0.0000 x4
Fe: 0.0661 0.2098 0.5000 x16
Fe: 0.1133 0.3867 0.4068 x16
Fe: 0.1783 0.3217 0.0588 x16

Values from the calculation:
Crystal system: tetragonal
Spin magnetization, μB per formula unit: 26.53
Formation enthalpy at 0 K, eV per atom: -0.04

=====

(2)
Here is a relaxed structure of PrGa6Fe6 from Materials Project. Energies are from PBE.

Lattice parameters (Å, degrees): 5.2225 12.0358 12.4955 90.00 90.00 90.00
Space group Fmmm (No. 69)
One atom of each set of equivalent atoms:
Pr: 0.0000 0.0000 0.0000 x4
Ga: 0.0000 0.1679 0.1842 x16
Ga: 0.2500 0.2500 0.0000 x8
Fe: 0.0000 0.1032 0.3878 x16
Fe: 0.2500 0.0000 0.2500 x8

Values from the calculation:
Crystal system: orthorhombic
Spin magnetization, μB per formula unit: 13.20
Formation enthalpy at 0 K, eV per atom: -0.14

=====

(3)
Here is a relaxed structure of Pr3GaFeS7 from Materials Project. Energies are from PBE.

Lattice parameters (Å, degrees): 10.1016 10.1016 6.0318 90.00 90.00 120.00
Space group P6_3 (No. 173)
One atom of each set of equivalent atoms:
Pr: 0.1440 0.7718 0.0000 x6
Ga: 0.3333 0.6667 0.5804 x2
Fe: 0.0000 0.0000 0.2101 x2
S: 0.0922 0.8584 0.4490 x6
S: 0.0949 0.5178 0.7291 x6
S: 0.3333 0.6667 0.2084 x2

Values from the calculation:
Total energy after the MP2020 corrections, eV for the cell shown: -151.9
Crystal system: hexagonal
Spin magnetization, μB per formula unit: 4.00
Formation enthalpy at 0 K, eV per atom: -1.76

=====

(4)
Here is a relaxed structure of Ga2Fe2S5 from Materials Project. Energies are from PBE.

Lattice parameters (Å, degrees): 3.6233 3.6233 45.3276 90.00 90.00 120.00
Space group R-3m (No. 166, hexagonal axes)
One atom of each set of equivalent atoms:
Ga: 0.0000 0.0000 0.2240 x6
Fe: 0.0000 0.0000 0.3647 x6
S: 0.0000 0.0000 0.0000 x3
S: 0.0000 0.0000 0.1325 x6
S: 0.0000 0.0000 0.2733 x6

Values from the calculation:
Distance to the lowest polymorph of the same formula, eV per formula unit: 0.213
Total energy after the MP2020 corrections, eV for the cell shown: -149.6
Crystal system: trigonal
Spin magnetization, μB per formula unit: 7.39
Formation enthalpy at 0 K, eV per atom: -0.69

=====

(5)
Here is a relaxed structure of Ga2FeS4 from Materials Project. Energies are from PBE.

Lattice parameters (Å, degrees): 3.6589 3.6589 12.4100 90.00 90.00 120.00
Space group P-3m1 (No. 164)
One atom of each set of equivalent atoms:
Ga: 0.3333 0.6667 0.2834 x2
Fe: 0.0000 0.0000 0.0000 x1
S: 0.3333 0.6667 0.1045 x2
S: 0.3333 0.6667 0.6332 x2

Values from the calculation:
Total energy after the MP2020 corrections, eV for the cell shown: -36.7
Crystal system: trigonal
Spin magnetization, μB per formula unit: 4.00
Formation enthalpy at 0 K, eV per atom: -0.81

=====

(6)
Here is a relaxed structure of Ga2Fe2S5 from Materials Project. Energies are from PBE.

Lattice parameters (Å, degrees): 3.6096 3.6096 29.9490 90.00 90.00 120.00
Space group P6_3/mmc (No. 194)
One atom of each set of equivalent atoms:
Ga: 0.3333 0.6667 0.0865 x4
Fe: 0.0000 0.0000 0.2026 x4
S: 0.3333 0.6667 0.1611 x4
S: 0.3333 0.6667 0.5513 x4
S: 0.3333 0.6667 0.7500 x2

Values from the calculation:
Distance to the lowest polymorph of the same formula, eV per formula unit: 0.000
Total energy after the MP2020 corrections, eV for the cell shown: -100.2
Crystal system: hexagonal
Spin magnetization, μB per formula unit: 7.16
Formation enthalpy at 0 K, eV per atom: -0.71

=====

Question: Which of these has the lowest formation enthalpy at 0 K?
Answer: Pr3GaFeS7

=====

Question: Among the records above, which one has the highest formation enthalpy at 0 K?
Answer: Pr6GaFe13

=====

Question: Which value of formation enthalpy at 0 K does entry 5 give?
Answer: -0.81 eV per atom

=====

Question: The highest spin magnetization belongs to which entry?
Answer: Pr6GaFe13